1.
Entry from the Materials Project: an optimized crystal structure of Li2ZnGe (GGA-PBE).

For the total magnetization, the calculation gives 0.00 μB/f.u. Its space group is No. 225.

abc: 4.366 4.366 4.366
angles: 60.00 60.00 60.00
Element x y z (fractional)
Li  0.250  0.250  0.250
Li  0.750  0.750  0.750
Ge  0.000  0.000  0.000
Zn  0.500  0.500  0.500

=====

2.
Entry from the Materials Project: an optimized crystal structure of K2LiAlH6 (GGA-PBE).

For the total magnetization, the calculation gives 0.00 μB/f.u. Its space group is No. 166.

abc: 9.676 9.676 9.676
angles: 33.75 33.75 33.75
Element x y z (fractional)
Li  0.408  0.408  0.408
Li  0.592  0.592  0.592
Al  0.000  0.000  0.000
Al  0.500  0.500  0.500
H  0.188  0.188  0.735
H  0.827  0.395  0.395
H  0.605  0.605  0.173
H  0.605  0.173  0.605
H  0.173  0.605  0.605
H  0.812  0.812  0.265
H  0.812  0.265  0.812
H  0.395  0.827  0.395
H  0.265  0.812  0.812
H  0.395  0.395  0.827
H  0.188  0.735  0.188
H  0.735  0.188  0.188
K  0.287  0.287  0.287
K  0.127  0.127  0.127
K  0.873  0.873  0.873
K  0.713  0.713  0.713

=====

3.
Entry from the Materials Project: an optimized crystal structure of NbReSi (GGA-PBE).

For the total magnetization, the calculation gives 0.00 μB/f.u. Its space group is No. 189.

abc: 6.884 6.884 3.332
angles: 90.00 90.00 120.00
Element x y z (fractional)
Si  0.667  0.333  0.000
Si  0.000  0.000  0.500
Si  0.333  0.667  0.000
Nb  0.403  0.000  0.500
Nb  0.597  0.597  0.500
Nb  0.000  0.403  0.500
Re  0.000  0.743  0.000
Re  0.257  0.257  0.000
Re  0.743  0.000  0.000

=====

4.
Entry from the Materials Project: an optimized crystal structure of LuP3O9 (GGA-PBE).

For the total magnetization, the calculation gives 0.00 μB/f.u. Its energy above the lowest structure with this stoichiometry is 4 meV per atom. Its space group is No. 148.

abc: 12.872 12.872 12.872
angles: 110.45 110.45 110.45
Element x y z (fractional)
O  0.119  0.323  0.914
O  0.147  0.273  0.437
O  0.677  0.086  0.881
O  0.326  0.055  0.847
O  0.400  0.311  0.825
O  0.323  0.914  0.119
O  0.767  0.861  0.498
O  0.997  0.304  0.285
O  0.696  0.715  0.003
O  0.821  0.720  0.259
O  0.107  0.190  0.020
O  0.853  0.727  0.563
O  0.893  0.810  0.980
O  0.673  0.510  0.626
O  0.003  0.696  0.715
O  0.190  0.020  0.107
O  0.237  0.940  0.601
O  0.810  0.980  0.893
O  0.940  0.601  0.237
O  0.498  0.767  0.861
O  0.384  0.517  0.891
O  0.285  0.997  0.304
O  0.720  0.259  0.821
O  0.601  0.237  0.940
O  0.626  0.673  0.510
O  0.259  0.821  0.720
O  0.517  0.891  0.384
O  0.914  0.119  0.323
O  0.374  0.327  0.490
O  0.327  0.490  0.374
O  0.020  0.107  0.190
O  0.318  0.377  0.663
O  0.311  0.825  0.400
O  0.233  0.139  0.502
O  0.086  0.881  0.677
O  0.682  0.623  0.337
O  0.304  0.285  0.997
O  0.377  0.663  0.318
O  0.689  0.175  0.600
O  0.109  0.616  0.483
O  0.060  0.399  0.763
O  0.674  0.945  0.153
O  0.483  0.109  0.616
O  0.055  0.847  0.326
O  0.153  0.674  0.945
O  0.563  0.853  0.727
O  0.510  0.626  0.673
O  0.502  0.233  0.139
O  0.437  0.147  0.273
O  0.175  0.600  0.689
O  0.763  0.060  0.399
O  0.663  0.318  0.377
O  0.715  0.003  0.696
O  0.741  0.179  0.280
O  0.399  0.763  0.060
O  0.861  0.498  0.767
O  0.623  0.337  0.682
O  0.139  0.502  0.233
O  0.727  0.563  0.853
O  0.273  0.437  0.147
O  0.179  0.280  0.741
O  0.490  0.374  0.327
O  0.280  0.741  0.179
O  0.891  0.384  0.517
O  0.600  0.689  0.175
O  0.980  0.893  0.810
O  0.825  0.400  0.311
O  0.945  0.153  0.674
O  0.881  0.677  0.086
O  0.847  0.326  0.055
O  0.616  0.483  0.109
O  0.337  0.682  0.623
P  0.728  0.730  0.482
P  0.297  0.018  0.200
P  0.209  0.670  0.623
P  0.067  0.287  0.766
P  0.287  0.766  0.067
P  0.800  0.703  0.982
P  0.270  0.518  0.272
P  0.234  0.933  0.713
P  0.482  0.728  0.730
P  0.703  0.982  0.800
P  0.982  0.800  0.703
P  0.200  0.297  0.018
P  0.018  0.200  0.297
P  0.766  0.067  0.287
P  0.623  0.209  0.670
P  0.933  0.713  0.234
P  0.330  0.377  0.791
P  0.377  0.791  0.330
P  0.272  0.270  0.518
P  0.730  0.482  0.728
P  0.670  0.623  0.209
P  0.713  0.234  0.933
P  0.791  0.330  0.377
P  0.518  0.272  0.270
Lu  0.021  0.538  0.732
Lu  0.979  0.462  0.268
Lu  0.000  0.000  0.000
Lu  0.500  0.500  0.500
Lu  0.732  0.021  0.538
Lu  0.268  0.979  0.462
Lu  0.462  0.268  0.979
Lu  0.538  0.732  0.021

=====

5.
Entry from the Materials Project: an optimized crystal structure of NaTi2P3O12 (GGA-PBE).

For the total magnetization, the calculation gives 0.00 μB/f.u. Its energy above the lowest structure with this stoichiometry is 31 meV per atom. Its space group is No. 2.

abc: 8.586 8.588 8.975
angles: 61.64 61.76 60.32
Element x y z (fractional)
O  0.461  0.189  0.795
O  0.485  0.848  0.910
O  0.845  0.760  0.903
O  0.008  0.783  0.575
O  0.155  0.240  0.097
O  0.217  0.367  0.420
O  0.809  0.442  0.207
O  0.783  0.633  0.580
O  0.191  0.558  0.793
O  0.367  0.998  0.419
O  0.090  0.721  0.277
O  0.515  0.152  0.090
O  0.917  0.087  0.277
O  0.539  0.811  0.205
O  0.757  0.492  0.907
O  0.910  0.279  0.723
O  0.562  0.451  0.795
O  0.278  0.091  0.722
O  0.992  0.217  0.425
O  0.243  0.508  0.093
O  0.083  0.913  0.723
O  0.633  0.002  0.581
O  0.722  0.909  0.278
O  0.438  0.549  0.205
Ti  0.654  0.635  0.062
Ti  0.850  0.857  0.432
Ti  0.150  0.143  0.568
Ti  0.346  0.365  0.938
P  0.465  0.032  0.751
P  0.247  0.533  0.251
P  0.753  0.467  0.749
P  0.034  0.750  0.747
P  0.535  0.968  0.249
P  0.966  0.250  0.253
Na  0.751  0.085  0.833
Na  0.249  0.915  0.167

=====

6.
Entry from the Materials Project: an optimized crystal structure of HfScCo2 (GGA-PBE).

Its space group is No. 225.

abc: 4.448 4.448 4.448
angles: 60.00 60.00 60.00
Element x y z (fractional)
Co  0.250  0.250  0.250
Co  0.750  0.750  0.750
Sc  0.000  0.000  0.000
Hf  0.500  0.500  0.500

=====

Number 1: energy of formation from the pure elements -5.49 kcal/mol of atoms. Number 2: energy of formation from the pure elements -8.68 kcal/mol of atoms. Number 3: energy of formation from the pure elements -11.06 kcal/mol of atoms. Number 4: energy of formation from the pure elements -70.04 kcal/mol of atoms. Number 5: energy of formation from the pure elements -68.97 kcal/mol of atoms. Number 6: energy of formation from the pure elements -9.47 kcal/mol of atoms.